1.
Computed, not measured: crystalline RbYb at its relaxed geometry at the meta-GGA r2SCAN level of DFT.

Calculated values
For the theoretical density, the calculation gives 5.08 g/cm³. The formation energy is 684 meV per atom. Its space-group type is No. 187.

Cell: 3.621 3.621 7.437 Å, 90.00 90.00 120.00°
Sites, in units of the cell vectors:
Rb 0.000 0.000 0.000
Yb 0.667 0.333 0.500

2.
Computed, not measured: crystalline Re at its relaxed geometry at the meta-GGA r2SCAN level of DFT.

Calculated values
For the theoretical density, the calculation gives 20.80 g/cm³. The formation energy is 68 meV per atom. Its space-group type is No. 225. For the relative energy among the computed polymorphs, the calculation gives 68 meV per atom.

Cell: 2.760 2.760 2.760 Å, 60.00 60.00 60.00°
Sites, in units of the cell vectors:
Re 0.000 0.000 0.000

3.
Computed, not measured: crystalline Re at its relaxed geometry at the meta-GGA r2SCAN level of DFT.

Calculated values
For the theoretical density, the calculation gives 20.88 g/cm³. The formation energy is 0 meV per atom. Its space-group type is No. 194. For the relative energy among the computed polymorphs, the calculation gives 0 meV per atom.

Cell: 2.766 2.766 8.939 Å, 90.00 90.00 120.00°
Sites, in units of the cell vectors:
Re 0.000 0.000 0.000
Re 0.000 0.000 0.500
Re 0.333 0.667 0.250
Re 0.667 0.333 0.750

4.
Computed, not measured: crystalline Re at its relaxed geometry at the meta-GGA r2SCAN level of DFT.

Calculated values
For the theoretical density, the calculation gives 20.87 g/cm³. The formation energy is 4 meV per atom. Its space-group type is No. 194. For the relative energy among the computed polymorphs, the calculation gives 4 meV per atom.

Cell: 2.765 2.765 4.474 Å, 90.00 90.00 120.00°
Sites, in units of the cell vectors:
Re 0.333 0.667 0.250
Re 0.667 0.333 0.750